## H3Ru3C10ClO9 (GGA-PBE)

Data for an optimized crystal structure of H3Ru3C10ClO9.

Cell lengths 17.593, 14.617, 6.704 Å; angles 90.00, 90.00, 90.00 degrees
Space group Pnma (No. 62)
Inequivalent atoms, fractional coordinates:
H: 0.073 0.250 0.067 [4 per cell]
H: 0.197 0.165 0.054 [8 per cell]
Ru: 0.110 0.151 0.196 [8 per cell]
Ru: 0.248 0.750 0.691 [4 per cell]
C: 0.018 0.140 0.345 [8 per cell]
C: 0.074 0.089 0.951 [8 per cell]
C: 0.151 0.046 0.325 [8 per cell]
C: 0.158 0.250 0.383 [4 per cell]
C: 0.187 0.750 0.442 [4 per cell]
C: 0.193 0.658 0.831 [8 per cell]
Cl: 0.159 0.250 0.642 [4 per cell]
O: 0.037 0.634 0.561 [8 per cell]
O: 0.050 0.054 0.808 [8 per cell]
O: 0.151 0.750 0.297 [4 per cell]
O: 0.161 0.603 0.922 [8 per cell]
O: 0.178 0.516 0.407 [8 per cell]

Volume ... 16.578 Å³ per atom
Size of the total moment ... 0.0 μB/f.u.

## Na6Ta6In2Si9S3O48 (GGA-PBE)

Data for an optimized crystal structure of Na6Ta6In2Si9S3O48.

Cell lengths 8.967, 15.485, 23.002 Å; angles 90.02, 90.10, 90.05 degrees
Space group P1 (No. 1)
Inequivalent atoms, fractional coordinates:
Na: 0.000 0.000 0.000 [1 per cell]
Na: 0.000 0.001 0.501 [1 per cell]
Na: 0.006 0.332 0.166 [1 per cell]
Na: 0.011 0.667 0.839 [1 per cell]
Na: 0.191 0.819 0.750 [1 per cell]
Na: 0.197 0.183 0.755 [1 per cell]
Na: 0.314 0.684 0.253 [1 per cell]
Na: 0.322 0.318 0.247 [1 per cell]
Na: 0.499 0.166 0.335 [1 per cell]
Na: 0.503 0.834 0.667 [1 per cell]
Na: 0.510 0.502 0.002 [1 per cell]
Na: 0.513 0.500 0.498 [1 per cell]
Na: 0.513 0.843 0.165 [1 per cell]
Na: 0.514 0.174 0.834 [1 per cell]
Na: 0.634 0.012 0.753 [1 per cell]
Na: 0.875 0.512 0.251 [1 per cell]
Na: 0.996 0.337 0.670 [1 per cell]
Na: 0.998 0.673 0.330 [1 per cell]
Ta: 0.002 0.339 0.817 [1 per cell]
Ta: 0.010 0.007 0.647 [1 per cell]
Ta: 0.016 0.335 0.319 [1 per cell]
Ta: 0.020 0.002 0.360 [1 per cell]
Ta: 0.021 0.005 0.142 [1 per cell]
Ta: 0.490 0.502 0.862 [1 per cell]
Ta: 0.494 0.835 0.820 [1 per cell]
Ta: 0.499 0.507 0.146 [1 per cell]
Ta: 0.502 0.504 0.648 [1 per cell]
Ta: 0.509 0.844 0.526 [1 per cell]
Ta: 0.510 0.842 0.313 [1 per cell]
Ta: 0.513 0.843 0.020 [1 per cell]
Ta: 0.517 0.170 0.985 [1 per cell]
Ta: 0.520 0.174 0.479 [1 per cell]
Ta: 0.987 0.677 0.481 [1 per cell]
Ta: 0.989 0.674 0.979 [1 per cell]
Ta: 0.995 0.337 0.517 [1 per cell]
Ta: 0.999 0.344 0.027 [1 per cell]
In: 0.006 0.005 0.859 [1 per cell]
In: 0.010 0.671 0.684 [1 per cell]
In: 0.497 0.167 0.181 [1 per cell]
In: 0.505 0.505 0.358 [1 per cell]
In: 0.518 0.175 0.689 [1 per cell]
In: 0.993 0.675 0.188 [1 per cell]
Si: 0.142 0.482 0.921 [1 per cell]
Si: 0.149 0.862 0.253 [1 per cell]
Si: 0.151 0.147 0.253 [1 per cell]
Si: 0.152 0.816 0.586 [1 per cell]
Si: 0.212 0.838 0.923 [1 per cell]
Si: 0.215 0.504 0.253 [1 per cell]
Si: 0.297 0.004 0.753 [1 per cell]
Si: 0.298 0.339 0.423 [1 per cell]
Si: 0.359 0.316 0.086 [1 per cell]
Si: 0.359 0.362 0.754 [1 per cell]
Si: 0.360 0.647 0.753 [1 per cell]
Si: 0.366 0.024 0.084 [1 per cell]
Si: 0.366 0.981 0.421 [1 per cell]
Si: 0.644 0.693 0.919 [1 per cell]
Si: 0.649 0.649 0.254 [1 per cell]
Si: 0.650 0.986 0.917 [1 per cell]
Si: 0.652 0.030 0.588 [1 per cell]
Si: 0.653 0.317 0.586 [1 per cell]
Si: 0.712 0.671 0.587 [1 per cell]
Si: 0.715 0.336 0.919 [1 per cell]
Si: 0.789 0.841 0.419 [1 per cell]
Si: 0.797 0.171 0.089 [1 per cell]
Si: 0.858 0.817 0.086 [1 per cell]
Si: 0.859 0.530 0.088 [1 per cell]
Si: 0.860 0.485 0.417 [1 per cell]
Si: 0.861 0.150 0.754 [1 per cell]
Si: 0.864 0.191 0.417 [1 per cell]
S: 0.151 0.197 0.921 [1 per cell]
S: 0.151 0.523 0.584 [1 per cell]
S: 0.213 0.173 0.585 [1 per cell]
S: 0.297 0.672 0.085 [1 per cell]
S: 0.359 0.697 0.421 [1 per cell]
S: 0.652 0.358 0.252 [1 per cell]
S: 0.722 0.005 0.254 [1 per cell]
S: 0.789 0.504 0.754 [1 per cell]
S: 0.858 0.859 0.752 [1 per cell]
O: 0.072 0.244 0.262 [1 per cell]
O: 0.073 0.101 0.196 [1 per cell]
O: 0.074 0.434 0.863 [1 per cell]
O: 0.074 0.578 0.929 [1 per cell]
O: 0.074 0.913 0.593 [1 per cell]
O: 0.075 0.764 0.530 [1 per cell]
O: 0.076 0.910 0.310 [1 per cell]
O: 0.082 0.112 0.917 [1 per cell]
O: 0.085 0.241 0.971 [1 per cell]
O: 0.085 0.556 0.639 [1 per cell]
O: 0.088 0.434 0.577 [1 per cell]
O: 0.094 0.763 0.251 [1 per cell]
O: 0.106 0.087 0.310 [1 per cell]
O: 0.108 0.415 0.259 [1 per cell]
O: 0.110 0.588 0.246 [1 per cell]
O: 0.112 0.249 0.577 [1 per cell]
O: 0.112 0.922 0.918 [1 per cell]
O: 0.115 0.092 0.590 [1 per cell]
O: 0.115 0.923 0.196 [1 per cell]
O: 0.116 0.419 0.976 [1 per cell]
O: 0.116 0.748 0.929 [1 per cell]
O: 0.119 0.249 0.865 [1 per cell]
O: 0.124 0.578 0.534 [1 per cell]
O: 0.140 0.766 0.647 [1 per cell]
O: 0.175 0.354 0.763 [1 per cell]
O: 0.179 0.662 0.751 [1 per cell]
O: 0.180 0.329 0.073 [1 per cell]
O: 0.181 0.016 0.090 [1 per cell]
O: 0.182 0.347 0.478 [1 per cell]
O: 0.183 0.985 0.696 [1 per cell]
O: 0.184 0.991 0.413 [1 per cell]
O: 0.191 0.322 0.363 [1 per cell]
O: 0.193 0.688 0.427 [1 per cell]
O: 0.194 0.020 0.809 [1 per cell]
O: 0.201 0.657 0.034 [1 per cell]
O: 0.217 0.685 0.140 [1 per cell]
O: 0.292 0.186 0.640 [1 per cell]
O: 0.307 0.158 0.534 [1 per cell]
O: 0.314 0.520 0.310 [1 per cell]
O: 0.315 0.191 0.924 [1 per cell]
O: 0.317 0.821 0.862 [1 per cell]
O: 0.318 0.516 0.591 [1 per cell]
O: 0.325 0.491 0.913 [1 per cell]
O: 0.327 0.485 0.196 [1 per cell]
O: 0.328 0.846 0.976 [1 per cell]
O: 0.330 0.165 0.253 [1 per cell]
O: 0.330 0.828 0.573 [1 per cell]
O: 0.333 0.853 0.264 [1 per cell]
O: 0.370 0.269 0.148 [1 per cell]
O: 0.385 0.748 0.366 [1 per cell]
O: 0.392 0.248 0.430 [1 per cell]
O: 0.393 0.591 0.091 [1 per cell]
O: 0.394 0.088 0.028 [1 per cell]
O: 0.394 0.919 0.476 [1 per cell]
O: 0.396 0.424 0.696 [1 per cell]
O: 0.398 0.423 0.419 [1 per cell]
O: 0.398 0.747 0.078 [1 per cell]
O: 0.399 0.088 0.746 [1 per cell]
O: 0.403 0.915 0.758 [1 per cell]
O: 0.404 0.587 0.809 [1 per cell]
O: 0.416 0.264 0.749 [1 per cell]
O: 0.424 0.740 0.472 [1 per cell]
O: 0.426 0.611 0.418 [1 per cell]
O: 0.427 0.925 0.075 [1 per cell]
O: 0.435 0.411 0.809 [1 per cell]
O: 0.435 0.600 0.695 [1 per cell]
O: 0.436 0.078 0.430 [1 per cell]
O: 0.436 0.414 0.093 [1 per cell]
O: 0.437 0.268 0.030 [1 per cell]
O: 0.437 0.745 0.760 [1 per cell]
O: 0.437 0.934 0.363 [1 per cell]
O: 0.438 0.053 0.145 [1 per cell]
O: 0.560 0.744 0.261 [1 per cell]
O: 0.562 0.078 0.926 [1 per cell]
O: 0.566 0.602 0.197 [1 per cell]
O: 0.573 0.737 0.976 [1 per cell]
O: 0.574 0.058 0.647 [1 per cell]
O: 0.575 0.270 0.528 [1 per cell]
O: 0.575 0.936 0.860 [1 per cell]
O: 0.576 0.414 0.594 [1 per cell]
O: 0.577 0.597 0.909 [1 per cell]
O: 0.584 0.932 0.576 [1 per cell]
O: 0.585 0.394 0.305 [1 per cell]
O: 0.587 0.271 0.246 [1 per cell]
O: 0.604 0.752 0.573 [1 per cell]
O: 0.607 0.584 0.594 [1 per cell]
O: 0.608 0.252 0.927 [1 per cell]
O: 0.611 0.923 0.973 [1 per cell]
O: 0.615 0.090 0.530 [1 per cell]
O: 0.615 0.423 0.909 [1 per cell]
O: 0.618 0.755 0.862 [1 per cell]
O: 0.622 0.081 0.252 [1 per cell]
O: 0.622 0.924 0.261 [1 per cell]
O: 0.625 0.414 0.200 [1 per cell]
O: 0.626 0.589 0.310 [1 per cell]
O: 0.639 0.262 0.643 [1 per cell]
O: 0.675 0.517 0.095 [1 per cell]
O: 0.678 0.827 0.074 [1 per cell]
O: 0.682 0.185 0.426 [1 per cell]
O: 0.683 0.823 0.362 [1 per cell]
O: 0.683 0.849 0.475 [1 per cell]
O: 0.684 0.158 0.750 [1 per cell]
O: 0.684 0.494 0.419 [1 per cell]
O: 0.689 0.155 0.030 [1 per cell]
O: 0.692 0.854 0.756 [1 per cell]
O: 0.698 0.490 0.700 [1 per cell]
O: 0.698 0.515 0.806 [1 per cell]
O: 0.705 0.195 0.146 [1 per cell]
O: 0.807 0.989 0.202 [1 per cell]
O: 0.808 0.689 0.645 [1 per cell]
O: 0.814 0.013 0.307 [1 per cell]
O: 0.819 0.354 0.257 [1 per cell]
O: 0.824 0.655 0.530 [1 per cell]
O: 0.826 0.658 0.251 [1 per cell]
O: 0.827 0.324 0.862 [1 per cell]
O: 0.827 0.350 0.974 [1 per cell]
O: 0.827 0.684 0.925 [1 per cell]
O: 0.828 0.993 0.918 [1 per cell]
O: 0.835 0.017 0.594 [1 per cell]
O: 0.835 0.331 0.575 [1 per cell]
O: 0.872 0.761 0.143 [1 per cell]
O: 0.886 0.089 0.809 [1 per cell]
O: 0.886 0.424 0.759 [1 per cell]
O: 0.887 0.914 0.699 [1 per cell]
O: 0.889 0.579 0.748 [1 per cell]
O: 0.892 0.256 0.362 [1 per cell]
O: 0.895 0.589 0.030 [1 per cell]
O: 0.896 0.924 0.410 [1 per cell]
O: 0.897 0.754 0.427 [1 per cell]
O: 0.899 0.084 0.095 [1 per cell]
O: 0.901 0.422 0.474 [1 per cell]
O: 0.908 0.252 0.073 [1 per cell]
O: 0.925 0.772 0.746 [1 per cell]
O: 0.926 0.432 0.076 [1 per cell]
O: 0.926 0.895 0.804 [1 per cell]
O: 0.932 0.913 0.094 [1 per cell]
O: 0.934 0.096 0.410 [1 per cell]
O: 0.934 0.238 0.475 [1 per cell]
O: 0.935 0.437 0.360 [1 per cell]
O: 0.936 0.558 0.147 [1 per cell]
O: 0.937 0.769 0.028 [1 per cell]
O: 0.944 0.101 0.696 [1 per cell]
O: 0.950 0.245 0.760 [1 per cell]
O: 0.951 0.576 0.430 [1 per cell]

Volume ... 14.387 Å³ per atom
Size of the total moment ... 0.0 μB/f.u.

## Ni3Au (GGA-PBE)

Data for an optimized crystal structure of Ni3Au.

Cell lengths 5.2385, 5.2385, 4.2542 Å; angles 90.00, 90.00, 120.00 degrees
Space group P6_3/mmc (No. 194)
Inequivalent atoms, fractional coordinates:
Ni: 0.1588 0.3175 0.2500 [6 per cell]
Au: 0.3333 0.6667 0.7500 [2 per cell]

Volume ... 12.638 Å³ per atom
Size of the total moment ... 1.6 μB/f.u.

## KCu3As2O10 (GGA-PBE)

Data for an optimized crystal structure of KCu3As2O10.

Cell lengths 10.086, 5.991, 8.242 Å; angles 90.00, 117.55, 90.00 degrees
Space group C2/m (No. 12)
Inequivalent atoms, fractional coordinates:
K: 0.000 0.000 0.000 [2 per cell]
Cu: 0.000 0.000 0.500 [2 per cell]
Cu: 0.250 0.250 0.500 [4 per cell]
As: 0.067 0.500 0.762 [4 per cell]
O: 0.041 0.256 0.339 [8 per cell]
O: 0.122 0.500 0.990 [4 per cell]
O: 0.209 0.000 0.599 [4 per cell]
O: 0.214 0.500 0.715 [4 per cell]

Volume ... 13.797 Å³ per atom
Size of the total moment ... 0.0 μB/f.u.

| no. | ΔH_f (0 K) (kcal/mol of atoms) | electronic total energy (eV/atom) |
| --- | --- | --- |
| 1 | -17.5 | -7.317 |
| 2 | -65.3 | -7.567 |
| 3 | 2.4 | -5.049 |
| 4 | -29.8 | -5.377 |